BaNdCr4O12: optimized geometry, PBE+U.

Lattice parameters (Å, degrees): 5.415 5.415 7.618 90.00 90.00 90.00
Atoms (fractional coordinates):
Ba  0.500  0.500  0.000
Nd  0.000  0.000  0.500
Cr  0.000  0.500  0.752
Cr  0.000  0.500  0.248
Cr  0.500  0.000  0.752
Cr  0.500  0.000  0.248
O  0.241  0.241  0.738
O  0.241  0.241  0.262
O  0.759  0.759  0.262
O  0.759  0.759  0.738
O  0.759  0.241  0.738
O  0.759  0.241  0.262
O  0.241  0.759  0.262
O  0.241  0.759  0.738
O  0.000  0.500  0.500
O  0.000  0.500  0.000
O  0.500  0.000  0.500
O  0.500  0.000  0.000

Energy of formation   -2.06 eV per atom
Spin magnetization   0.28 μB per atom
V   12.408 Å³/atom
Symmetry   P4/mmm (123)